Record 1
Entry from Materials Project: crystalline NaMg2HSe2O7 at its relaxed geometry (GGA-PBE).

Its MP2020-corrected energy is -5.84 eV per atom. For the formation energy from the elements, the calculation gives -2.026 eV/atom. The total magnetization is 0.001 μB per formula unit.

Cell lengths 13.5333, 6.1778, 8.3777 Å; angles 90.00, 90.00, 90.00 degrees
Last column: nearest neighbours and their distance in Å.
Element x y z (fractional)
1 Na 0.2491 0.2500 0.1306  4 O 2.31-2.40
2 Na 0.2509 0.7500 0.6306  4 O 2.31-2.40
3 Na 0.7491 0.2500 0.3694  4 O 2.31-2.40
4 Na 0.7509 0.7500 0.8694  4 O 2.31-2.40
5 Mg 0.0000 0.0000 0.5000  6 O 2.04-2.17
6 Mg 0.0000 0.5000 0.5000  6 O 2.04-2.17
7 Mg 0.1123 0.2500 0.7863  6 O 2.08-2.18
8 Mg 0.3877 0.7500 0.2863  6 O 2.08-2.18
9 Mg 0.5000 0.0000 0.0000  6 O 2.04-2.17
10 Mg 0.5000 0.5000 0.0000  6 O 2.04-2.17
11 Mg 0.6123 0.2500 0.7137  6 O 2.08-2.18
12 Mg 0.8877 0.7500 0.2137  6 O 2.08-2.18
13 H 0.1554 0.2500 0.4719  1 O 0.97
14 H 0.3446 0.7500 0.9719  1 O 0.97
15 H 0.6554 0.2500 0.0281  1 O 0.97
16 H 0.8446 0.7500 0.5281  1 O 0.97
17 Se 0.0271 0.7500 0.8801  3 O 1.72-1.74
18 Se 0.1727 0.7500 0.2740  3 O 1.73-1.76
19 Se 0.3273 0.2500 0.7740  3 O 1.73-1.76
20 Se 0.4729 0.2500 0.3801  3 O 1.72-1.74
21 Se 0.5271 0.7500 0.6199  3 O 1.72-1.74
22 Se 0.6727 0.7500 0.2260  3 O 1.73-1.76
23 Se 0.8273 0.2500 0.7260  3 O 1.73-1.76
24 Se 0.9729 0.2500 0.1199  3 O 1.72-1.74
25 O 0.0188 0.5310 0.7506  1 Se 1.74
26 O 0.0188 0.9690 0.7506  1 Se 1.74
27 O 0.0872 0.2500 0.0308  1 Se 1.72
28 O 0.0959 0.2500 0.5373  1 H 0.97
29 O 0.1097 0.7500 0.4573  1 Se 1.76
30 O 0.2427 0.0438 0.8015  1 Se 1.73
31 O 0.2427 0.4562 0.8015  1 Se 1.73
32 O 0.2573 0.5438 0.3015  1 Se 1.73
33 O 0.2573 0.9562 0.3015  1 Se 1.73
34 O 0.3903 0.2500 0.9573  1 Se 1.76
35 O 0.4041 0.7500 0.0373  1 H 0.97
36 O 0.4128 0.7500 0.5308  1 Se 1.72
37 O 0.4812 0.0310 0.2506  1 Se 1.74
38 O 0.4812 0.4690 0.2506  1 Se 1.74
39 O 0.5188 0.5310 0.7494  1 Se 1.74
40 O 0.5188 0.9690 0.7494  1 Se 1.74
41 O 0.5872 0.2500 0.4692  1 Se 1.72
42 O 0.5959 0.2500 0.9627  1 H 0.97
43 O 0.6097 0.7500 0.0427  1 Se 1.76
44 O 0.7427 0.0438 0.6985  1 Se 1.73
45 O 0.7427 0.4562 0.6985  1 Se 1.73
46 O 0.7573 0.5438 0.1985  1 Se 1.73
47 O 0.7573 0.9562 0.1985  1 Se 1.73
48 O 0.8903 0.2500 0.5427  1 Se 1.76
49 O 0.9041 0.7500 0.4627  1 H 0.97
50 O 0.9128 0.7500 0.9692  1 Se 1.72
51 O 0.9812 0.0310 0.2494  1 Se 1.74
52 O 0.9812 0.4690 0.2494  1 Se 1.74

***

Record 2
Entry from Materials Project: crystalline NaMg3Si4HO12 at its relaxed geometry (GGA-PBE).

Its MP2020-corrected energy is -7.35 eV per atom. For the formation energy from the elements, the calculation gives -3.032 eV/atom. The total magnetization is 0.000 μB per formula unit.

Cell lengths 5.3348, 18.1678, 9.9109 Å; angles 90.00, 101.94, 90.00 degrees
Last column: nearest neighbours and their distance in Å.
Element x y z (fractional)
1 Na 0.0216 0.0000 0.2568  5 O 2.27-2.47
2 Na 0.4535 0.7293 0.7359  3 O 2.41-2.66
3 Na 0.5465 0.2293 0.2641  3 O 2.41-2.66
4 Na 0.9784 0.5000 0.7432  5 O 2.27-2.47
5 Mg 0.0155 0.4734 0.2472  4 O 2.04-2.09
6 Mg 0.0147 0.6429 0.2492  6 O 2.06-2.17
7 Mg 0.0150 0.8207 0.2501  6 O 2.08-2.15
8 Mg 0.4843 0.0491 0.7501  6 O 2.04-2.19
9 Mg 0.4852 0.2305 0.7508  6 O 2.06-2.13
10 Mg 0.4852 0.4114 0.7503  6 O 2.01-2.23
11 Mg 0.5148 0.7305 0.2492  6 O 2.06-2.13
12 Mg 0.5148 0.9114 0.2497  6 O 2.01-2.23
13 Mg 0.5157 0.5491 0.2499  6 O 2.04-2.19
14 Mg 0.9853 0.1429 0.7508  6 O 2.06-2.17
15 Mg 0.9850 0.3207 0.7499  6 O 2.08-2.15
16 Mg 0.9845 0.9734 0.7528  4 O 2.04-2.09
17 Si 0.2085 0.1449 0.4740  4 O 1.62-1.66
18 Si 0.2098 0.3139 0.4715  4 O 1.62-1.67
19 Si 0.2396 0.6442 0.9737  4 O 1.62-1.66
20 Si 0.2449 0.8153 0.9712  4 O 1.61-1.66
21 Si 0.2624 0.3994 0.0402  4 O 1.62-1.70
22 Si 0.2680 0.0574 0.0366  4 O 1.58-1.69
23 Si 0.2940 0.8969 0.5436  4 O 1.62-1.70
24 Si 0.2966 0.5582 0.5377  4 O 1.58-1.70
25 Si 0.7034 0.0582 0.4623  4 O 1.58-1.70
26 Si 0.7060 0.3969 0.4564  4 O 1.62-1.70
27 Si 0.7320 0.5574 0.9634  4 O 1.58-1.69
28 Si 0.7376 0.8994 0.9598  4 O 1.62-1.70
29 Si 0.7551 0.3153 0.0288  4 O 1.61-1.66
30 Si 0.7604 0.1442 0.0263  4 O 1.62-1.66
31 Si 0.7902 0.8139 0.5285  4 O 1.62-1.67
32 Si 0.7915 0.6449 0.5260  4 O 1.62-1.66
33 H 0.2343 0.2294 0.9568  1 O 0.97
34 H 0.2566 0.7300 0.4534  1 O 0.97
35 H 0.7434 0.2300 0.5466  1 O 0.97
36 H 0.7657 0.7294 0.0432  1 O 0.97
37 O 0.0181 0.3597 0.0998  2 Si 1.64-1.70
38 O 0.0283 0.1013 0.0905  2 Si 1.64-1.69
39 O 0.0912 0.6198 0.5862  2 Si 1.65-1.70
40 O 0.0931 0.8342 0.5918  2 Si 1.65-1.70
41 O 0.1913 0.2293 0.8567  1 H 0.97
42 O 0.2005 0.0557 0.8663  1 Si 1.65
43 O 0.2046 0.7294 0.9127  2 Si 1.66
44 O 0.2060 0.3992 0.8736  1 Si 1.62
45 O 0.2197 0.7292 0.3537  1 H 0.97
46 O 0.2311 0.5550 0.3676  1 Si 1.65
47 O 0.2383 0.8992 0.3768  1 Si 1.62
48 O 0.2441 0.2289 0.4149  2 Si 1.66-1.67
49 O 0.2560 0.9687 0.6350  1 Si 1.62
50 O 0.2756 0.1418 0.6408  1 Si 1.62
51 O 0.2764 0.3164 0.6380  1 Si 1.62
52 O 0.2814 0.4830 0.6160  1 Si 1.58
53 O 0.2861 0.4748 0.1289  1 Si 1.62
54 O 0.3044 0.8164 0.1377  1 Si 1.61
55 O 0.3055 0.6420 0.1404  1 Si 1.62
56 O 0.3076 0.9801 0.1115  1 Si 1.58
57 O 0.4077 0.3627 0.3993  2 Si 1.65-1.69
58 O 0.4138 0.0967 0.4082  2 Si 1.64-1.68
59 O 0.4807 0.6135 0.9102  2 Si 1.64-1.68
60 O 0.4824 0.8449 0.9027  2 Si 1.65-1.68
61 O 0.5176 0.3449 0.0973  2 Si 1.65-1.68
62 O 0.5193 0.1135 0.0898  2 Si 1.64-1.68
63 O 0.5862 0.5967 0.5918  2 Si 1.64-1.68
64 O 0.5923 0.8627 0.6007  2 Si 1.65-1.69
65 O 0.6924 0.4801 0.8885  1 Si 1.58
66 O 0.6945 0.1420 0.8596  1 Si 1.62
67 O 0.6956 0.3164 0.8623  1 Si 1.61
68 O 0.7139 0.9748 0.8711  1 Si 1.62
69 O 0.7186 0.9830 0.3840  1 Si 1.58
70 O 0.7244 0.6418 0.3592  1 Si 1.62
71 O 0.7236 0.8164 0.3620  1 Si 1.62
72 O 0.7440 0.4687 0.3650  1 Si 1.62
73 O 0.7559 0.7289 0.5851  2 Si 1.66-1.67
74 O 0.7617 0.3992 0.6232  1 Si 1.62
75 O 0.7689 0.0550 0.6324  1 Si 1.65
76 O 0.7803 0.2292 0.6463  1 H 0.97
77 O 0.7940 0.8992 0.1264  1 Si 1.62
78 O 0.7954 0.2294 0.0873  2 Si 1.66
79 O 0.7995 0.5557 0.1337  1 Si 1.65
80 O 0.8087 0.7293 0.1433  1 H 0.97
81 O 0.9069 0.3342 0.4082  2 Si 1.65-1.70
82 O 0.9088 0.1198 0.4138  2 Si 1.65-1.70
83 O 0.9717 0.6013 0.9095  2 Si 1.64-1.69
84 O 0.9819 0.8597 0.9002  2 Si 1.64-1.70

***

Record 3
Entry from Materials Project: crystalline NaMg3Si3HO10 at its relaxed geometry (GGA-PBE).

Its MP2020-corrected energy is -7.08 eV per atom. For the formation energy from the elements, the calculation gives -2.900 eV/atom. The total magnetization is 0.001 μB per formula unit.

Cell lengths 8.9505, 9.7328, 10.4105 Å; angles 65.86, 83.57, 64.17 degrees
Last column: nearest neighbours and their distance in Å.
Element x y z (fractional)
1 Na 0.0000 0.0000 0.0000  2 H 2.10, 6 O 2.22-2.29
2 Na 0.1644 0.6479 0.0428  5 O 2.15-2.31
3 Na 0.5000 0.5000 0.5000  2 H 2.04, 6 O 2.17-2.28
4 Na 0.8356 0.3521 0.9572  5 O 2.15-2.31
5 Mg 0.0453 0.5584 0.3439  6 O 2.00-2.13
6 Mg 0.0643 0.5591 0.8509  6 O 2.02-2.24
7 Mg 0.1507 0.6641 0.5557  6 O 2.01-2.24
8 Mg 0.2580 0.7685 0.2426  6 O 2.03-2.17
9 Mg 0.3407 0.8656 0.4578  4 O 2.04-2.09
10 Mg 0.3671 0.8349 0.9438  4 O 2.09-2.20
11 Mg 0.6329 0.1651 0.0562  4 O 2.09-2.20
12 Mg 0.6593 0.1344 0.5422  4 O 2.04-2.09
13 Mg 0.7420 0.2315 0.7574  6 O 2.03-2.17
14 Mg 0.8493 0.3359 0.4443  6 O 2.01-2.24
15 Mg 0.9357 0.4409 0.1491  6 O 2.02-2.24
16 Mg 0.9547 0.4416 0.6561  6 O 2.00-2.13
17 Si 0.0584 0.9389 0.6925  4 O 1.61-1.77
18 Si 0.2325 0.1594 0.5571  4 O 1.61-1.69
19 Si 0.2538 0.1535 0.0485  4 O 1.62-1.70
20 Si 0.3352 0.2614 0.2563  4 O 1.60-1.71
21 Si 0.3547 0.2537 0.7505  4 O 1.63-1.70
22 Si 0.4393 0.5558 0.8010  4 O 1.59-1.76
23 Si 0.5607 0.4442 0.1990  4 O 1.59-1.76
24 Si 0.6453 0.7463 0.2495  4 O 1.63-1.70
25 Si 0.6648 0.7386 0.7437  4 O 1.60-1.71
26 Si 0.7462 0.8465 0.9515  4 O 1.62-1.70
27 Si 0.7675 0.8406 0.4429  4 O 1.61-1.69
28 Si 0.9416 0.0611 0.3075  4 O 1.61-1.77
29 H 0.0598 0.1407 0.8051  1 O 0.97
30 H 0.3425 0.4469 0.4217  1 O 0.97
31 H 0.6575 0.5531 0.5783  1 O 0.97
32 H 0.9402 0.8593 0.1949  1 O 0.97
33 O 0.0408 0.7864 0.6806  1 Si 1.61
34 O 0.0415 0.7675 0.1901  1 H 0.97
35 O 0.0660 0.3319 0.5095  1 Si 1.61
36 O 0.0879 0.3266 0.0143  1 Si 1.62
37 O 0.1253 0.8926 0.3699  1 Si 1.68
38 O 0.1429 0.9018 0.8409  1 Si 1.63
39 O 0.1582 0.4180 0.2261  1 Si 1.60
40 O 0.1851 0.4289 0.7063  1 Si 1.64
41 O 0.1981 0.9989 0.5743  2 Si 1.66-1.77
42 O 0.2459 0.9830 0.0637  1 Si 1.63
43 O 0.2556 0.5549 0.4132  1 H 0.97
44 O 0.2880 0.5429 0.8928  1 Si 1.59
45 O 0.3122 0.1203 0.7112  2 Si 1.66-1.70
46 O 0.3476 0.1213 0.1984  2 Si 1.66-1.70
47 O 0.3737 0.1632 0.4355  2 Si 1.69-1.71
48 O 0.3889 0.6436 0.6275  1 Si 1.67
49 O 0.3897 0.1781 0.9249  2 Si 1.66-1.69
50 O 0.3993 0.6291 0.1351  1 Si 1.65
51 O 0.4783 0.7499 0.3311  1 Si 1.63
52 O 0.4940 0.3047 0.1849  2 Si 1.67-1.76
53 O 0.5060 0.6953 0.8151  2 Si 1.67-1.76
54 O 0.5217 0.2501 0.6689  1 Si 1.63
55 O 0.6007 0.3709 0.8649  1 Si 1.65
56 O 0.6103 0.8219 0.0751  2 Si 1.66-1.69
57 O 0.6111 0.3564 0.3725  1 Si 1.67
58 O 0.6263 0.8368 0.5645  2 Si 1.69-1.71
59 O 0.6524 0.8787 0.8016  2 Si 1.66-1.70
60 O 0.6878 0.8797 0.2888  2 Si 1.66-1.70
61 O 0.7120 0.4571 0.1072  1 Si 1.59
62 O 0.7444 0.4451 0.5868  1 H 0.97
63 O 0.7541 0.0170 0.9363  1 Si 1.63
64 O 0.8019 0.0011 0.4257  2 Si 1.66-1.77
65 O 0.8149 0.5711 0.2937  1 Si 1.64
66 O 0.8418 0.5820 0.7739  1 Si 1.60
67 O 0.8571 0.0982 0.1591  1 Si 1.63
68 O 0.8747 0.1074 0.6301  1 Si 1.68
69 O 0.9121 0.6734 0.9857  1 Si 1.62
70 O 0.9340 0.6681 0.4905  1 Si 1.61
71 O 0.9585 0.2325 0.8099  1 H 0.97
72 O 0.9592 0.2136 0.3194  1 Si 1.61

***

Record 4
Entry from Materials Project: crystalline NaMg3Si4HO12 at its relaxed geometry (GGA-PBE).

Its MP2020-corrected energy is -7.35 eV per atom. For the formation energy from the elements, the calculation gives -3.032 eV/atom. The total magnetization is 0.001 μB per formula unit.

Cell lengths 9.8511, 10.3187, 10.7442 Å; angles 84.53, 78.48, 61.53 degrees
Last column: nearest neighbours and their distance in Å.
Element x y z (fractional)
1 Na 0.0000 0.0000 0.0000  2 O 2.40
2 Na 0.0000 0.0000 0.5000  2 O 2.40
3 Na 0.2290 0.5418 0.2499  6 O 2.32-2.52
4 Na 0.7710 0.4582 0.7501  6 O 2.32-2.52
5 Mg 0.2452 0.5101 0.7501  4 O 2.06-2.07
6 Mg 0.3192 0.3602 0.4959  6 O 2.00-2.20
7 Mg 0.3202 0.3601 0.0044  6 O 2.00-2.21
8 Mg 0.4098 0.1803 0.2501  6 O 2.07-2.14
9 Mg 0.4122 0.1756 0.7500  6 O 2.08-2.12
10 Mg 0.5000 0.0000 0.0000  6 O 2.07-2.11
11 Mg 0.5000 0.0000 0.5000  6 O 2.07-2.11
12 Mg 0.5878 0.8244 0.2500  6 O 2.08-2.12
13 Mg 0.5902 0.8197 0.7499  6 O 2.07-2.14
14 Mg 0.6798 0.6399 0.9956  6 O 2.00-2.21
15 Mg 0.6808 0.6398 0.5041  6 O 2.00-2.20
16 Mg 0.7548 0.4899 0.2499  4 O 2.06-2.07
17 Si 0.0372 0.3391 0.3871  4 O 1.62-1.69
18 Si 0.0413 0.3455 0.8877  4 O 1.59-1.69
19 Si 0.1351 0.1714 0.6351  4 O 1.62-1.66
20 Si 0.1365 0.1705 0.1339  4 O 1.62-1.66
21 Si 0.3070 0.8280 0.1348  4 O 1.62-1.66
22 Si 0.3074 0.8288 0.6339  4 O 1.62-1.66
23 Si 0.3770 0.6601 0.8870  4 O 1.62-1.69
24 Si 0.3871 0.6541 0.3876  4 O 1.59-1.69
25 Si 0.6129 0.3459 0.6124  4 O 1.59-1.69
26 Si 0.6230 0.3399 0.1130  4 O 1.62-1.69
27 Si 0.6926 0.1712 0.3661  4 O 1.62-1.66
28 Si 0.6930 0.1720 0.8652  4 O 1.62-1.66
29 Si 0.8635 0.8295 0.8661  4 O 1.62-1.66
30 Si 0.8649 0.8286 0.3649  4 O 1.62-1.66
31 Si 0.9587 0.6545 0.1123  4 O 1.59-1.69
32 Si 0.9628 0.6609 0.6129  4 O 1.62-1.69
33 H 0.2927 0.0019 0.8750  1 O 0.97
34 H 0.2948 0.9980 0.3748  1 O 0.96
35 H 0.7052 0.0020 0.6252  1 O 0.96
36 H 0.7073 0.9981 0.1250  1 O 0.97
37 O 0.0280 0.2460 0.2704  2 Si 1.64-1.69
38 O 0.0285 0.2430 0.5218  2 Si 1.65-1.69
39 O 0.0352 0.2473 0.7732  2 Si 1.64-1.69
40 O 0.0381 0.2412 0.0171  2 Si 1.64-1.68
41 O 0.1113 0.4989 0.1027  1 Si 1.59
42 O 0.1254 0.5101 0.6124  1 Si 1.62
43 O 0.1605 0.9999 0.6413  2 Si 1.66
44 O 0.1609 0.9993 0.1408  2 Si 1.66
45 O 0.2043 0.3403 0.3619  1 Si 1.62
46 O 0.2109 0.3471 0.8549  1 Si 1.64
47 O 0.2722 0.7562 0.0216  2 Si 1.65-1.69
48 O 0.2747 0.7525 0.7701  2 Si 1.64-1.69
49 O 0.2796 0.7583 0.5169  2 Si 1.64-1.68
50 O 0.2828 0.7523 0.2730  2 Si 1.64-1.69
51 O 0.3012 0.1742 0.6030  1 Si 1.62
52 O 0.3025 0.1729 0.1054  1 Si 1.62
53 O 0.3655 0.5090 0.8878  1 Si 1.62
54 O 0.3900 0.4984 0.3971  1 Si 1.59
55 O 0.3930 0.0014 0.8521  1 H 0.97
56 O 0.3942 0.9987 0.3521  1 H 0.96
57 O 0.4419 0.3472 0.6451  1 Si 1.64
58 O 0.4551 0.3403 0.1383  1 Si 1.62
59 O 0.4756 0.8258 0.1029  1 Si 1.62
60 O 0.4756 0.8270 0.6053  1 Si 1.62
61 O 0.5244 0.1730 0.3947  1 Si 1.62
62 O 0.5244 0.1742 0.8971  1 Si 1.62
63 O 0.5449 0.6597 0.8617  1 Si 1.62
64 O 0.5581 0.6528 0.3549  1 Si 1.64
65 O 0.6058 0.0013 0.6479  1 H 0.96
66 O 0.6070 0.9986 0.1479  1 H 0.97
67 O 0.6100 0.5016 0.6029  1 Si 1.59
68 O 0.6345 0.4910 0.1122  1 Si 1.62
69 O 0.6975 0.8271 0.8946  1 Si 1.62
70 O 0.6988 0.8258 0.3970  1 Si 1.62
71 O 0.7172 0.2477 0.7270  2 Si 1.64-1.69
72 O 0.7204 0.2417 0.4831  2 Si 1.64-1.68
73 O 0.7253 0.2475 0.2299  2 Si 1.64-1.69
74 O 0.7278 0.2438 0.9784  2 Si 1.65-1.69
75 O 0.7891 0.6529 0.1451  1 Si 1.64
76 O 0.7957 0.6597 0.6381  1 Si 1.62
77 O 0.8391 0.0007 0.8592  2 Si 1.66
78 O 0.8395 0.0001 0.3587  2 Si 1.66
79 O 0.8746 0.4899 0.3876  1 Si 1.62
80 O 0.8887 0.5011 0.8973  1 Si 1.59
81 O 0.9619 0.7588 0.9829  2 Si 1.64-1.68
82 O 0.9648 0.7527 0.2268  2 Si 1.64-1.69
83 O 0.9715 0.7570 0.4782  2 Si 1.65-1.69
84 O 0.9720 0.7540 0.7296  2 Si 1.64-1.69